The following is a GGA-PBE calculation of a relaxed EuSi2Ni crystal, from the Materials Project.

a b c (Å): 4.035 4.169 8.558
angles (deg): 75.90 90.00 90.00
Sites, in units of the cell vectors:
Eu  0.250  0.607  0.786
Eu  0.750  0.393  0.214
Si  0.250  0.959  0.083
Si  0.750  0.041  0.917
Si  0.250  0.251  0.499
Si  0.750  0.749  0.501
Ni  0.250  0.819  0.361
Ni  0.750  0.181  0.639

## Properties
DFT total energy: -7.385 eV/atom
E_form: -0.663 eV per atom